The following is a DFT calculation (PBE) of a relaxed Li3BiO3 crystal.

Calculated values
The calculation puts the total moment at 0.001 μB per cell. The value obtained for the formation enthalpy at 0 K is -1.866 eV/atom. The total DFT energy (no corrections) comes out at -283.72 eV/cell. The space group is No. 80. As for the energy with MP2020 corrections: -300.21 eV/cell. The value obtained for the energy relative to the lowest polymorph listed for this composition is 93.5 meV per atom.

Cell lengths 10.574, 10.574, 10.574 Å; angles 97.34, 97.34, 138.12 degrees
Atoms (fractional coordinates):
Li  0.021  0.649  0.099
Li  0.028  0.116  0.368
Li  0.071  0.105  0.879
Li  0.170  0.728  0.376
Li  0.220  0.997  0.217
Li  0.226  0.191  0.121
Li  0.352  0.793  0.624
Li  0.399  0.800  0.127
Li  0.410  0.278  0.412
Li  0.478  0.602  0.058
Li  0.479  0.014  0.384
Li  0.543  0.420  0.942
Li  0.550  0.922  0.901
Li  0.630  0.095  0.616
Li  0.672  0.271  0.873
Li  0.747  0.030  0.277
Li  0.748  0.660  0.632
Li  0.753  0.470  0.723
Li  0.764  0.880  0.035
Li  0.780  0.003  0.783
Li  0.845  0.729  0.965
Li  0.855  0.476  0.535
Li  0.866  0.998  0.588
Li  0.941  0.321  0.465
Bi  0.044  0.416  0.816
Bi  0.166  0.850  0.872
Bi  0.271  0.081  0.621
Bi  0.400  0.521  0.690
Bi  0.460  0.650  0.379
Bi  0.600  0.227  0.184
Bi  0.831  0.710  0.310
Bi  0.977  0.294  0.128
O  0.009  0.138  0.033
O  0.044  0.298  0.330
O  0.048  0.218  0.754
O  0.105  0.976  0.967
O  0.124  0.022  0.345
O  0.314  0.902  0.185
O  0.335  0.587  0.167
O  0.337  0.670  0.752
O  0.351  0.965  0.546
O  0.419  0.805  0.454
O  0.420  0.168  0.833
O  0.464  0.294  0.246
O  0.528  0.374  0.602
O  0.555  0.601  0.886
O  0.652  0.966  0.087
O  0.677  0.778  0.655
O  0.715  0.669  0.114
O  0.716  0.129  0.815
O  0.726  0.259  0.371
O  0.772  0.927  0.398
O  0.879  0.564  0.913
O  0.888  0.355  0.629
O  0.918  0.585  0.248
O  0.968  0.714  0.670